# 1
The following is a PBE with a Hubbard U calculation of a geometry-optimized MgMn6O6F6 structure, from the Materials Project.

```
MgMn6O6F6
1.0
-4.764 2.004 1.196
-6.383 0.045 -13.304
-1.077 -2.896 0.487
Mg Mn O F
1 6 6 6
Direct
0.492 0.998 0.487
0.992 0.999 0.987
0.187 0.346 0.987
0.856 0.654 0.990
0.712 0.209 0.485
0.533 0.499 0.493
0.229 0.789 0.489
0.359 0.279 0.474
0.184 0.929 0.489
0.072 0.745 0.988
0.408 0.436 0.994
0.622 0.571 0.992
0.799 0.069 0.486
0.063 0.592 0.491
0.314 0.072 0.984
0.917 0.250 0.986
0.669 0.926 0.990
0.938 0.407 0.506
0.626 0.730 0.491
```

Calculated values
Energy relative to the lowest polymorph listed for this composition   9.0 meV per atom
Raw total energy   -6.71 eV/atom
Calculated volume   240.5 Å³/cell

---

# 2
The following is a PBE with a Hubbard U calculation of a geometry-optimized TbCuW2O8 structure, from the Materials Project.

```
TbCuW2O8
1.0
-6.912 0.000 0.000
3.134 9.634 0.000
-0.431 -4.642 -14.629
Tb Cu W O
6 6 12 48
Direct
0.364 0.052 0.344
0.033 0.393 0.662
0.967 0.607 0.338
0.316 0.295 0.997
0.636 0.948 0.656
0.684 0.705 0.003
0.659 0.335 0.832
0.846 0.167 0.161
0.341 0.665 0.168
0.154 0.833 0.839
0.500 0.500 0.500
0.000 0.000 0.000
0.167 0.561 0.931
0.147 0.099 0.732
0.981 0.245 0.387
0.019 0.755 0.613
0.642 0.591 0.723
0.499 0.766 0.393
0.664 0.083 0.939
0.853 0.901 0.268
0.358 0.409 0.277
0.833 0.439 0.069
0.501 0.234 0.607
0.336 0.917 0.061
0.574 0.977 0.825
0.662 0.273 0.935
0.090 0.419 0.007
0.055 0.884 0.061
0.234 0.251 0.665
0.617 0.875 0.505
0.371 0.562 0.721
0.944 0.601 0.674
0.411 0.518 0.926
0.711 0.218 0.386
0.383 0.125 0.495
0.056 0.399 0.326
0.441 0.578 0.414
0.099 0.867 0.254
0.001 0.939 0.609
0.589 0.482 0.074
0.559 0.422 0.586
0.727 0.689 0.843
0.610 0.925 0.001
0.945 0.116 0.939
0.277 0.207 0.844
0.903 0.086 0.245
0.999 0.061 0.391
0.929 0.648 0.495
0.723 0.793 0.156
0.958 0.550 0.178
0.767 0.251 0.083
0.390 0.075 0.999
0.287 0.257 0.336
0.343 0.598 0.268
0.338 0.727 0.065
0.426 0.023 0.175
0.910 0.581 0.993
0.251 0.801 0.402
0.233 0.749 0.917
0.749 0.199 0.598
0.578 0.912 0.324
0.766 0.749 0.335
0.422 0.088 0.676
0.042 0.450 0.822
0.097 0.914 0.755
0.273 0.311 0.157
0.289 0.782 0.614
0.071 0.352 0.505
0.657 0.402 0.732
0.713 0.743 0.664
0.629 0.438 0.279
0.901 0.133 0.746
```

Calculated values
Raw total energy   -7.35 eV/atom
Calculated volume   974.1 Å³/cell

---

# 3
The following is a PBE with a Hubbard U calculation of a geometry-optimized MgMn6O8F4 structure, from the Materials Project.

```
MgMn6O8F4
1.0
-5.110 0.420 0.014
-0.426 4.786 -5.929
0.441 -4.819 -3.001
Mg Mn O F
1 6 8 4
Direct
0.501 0.171 0.171
0.442 0.979 0.554
0.501 0.671 0.171
0.560 0.363 0.788
0.001 0.671 0.671
0.007 0.353 0.343
0.995 0.989 0.000
0.867 0.439 0.623
0.647 0.100 0.845
0.659 0.762 0.491
0.662 0.413 0.143
0.342 0.580 0.851
0.354 0.242 0.497
0.340 0.929 0.200
0.135 0.903 0.719
0.825 0.751 0.995
0.857 0.087 0.306
0.177 0.591 0.347
0.144 0.255 0.036
```

Calculated values
Energy relative to the lowest polymorph listed for this composition   15.0 meV per atom
Raw total energy   -6.85 eV/atom
Calculated volume   217.8 Å³/cell